## 1
First-principles (PBE+U) data for an optimized crystal structure of Ca2Ni3O8, as listed in Materials Project.

Crystal system: hexagonal

```
data_Ca2Ni3O8
_cell_length_a 5.829
_cell_length_b 5.829
_cell_length_c 10.399
_cell_angle_alpha 90.00
_cell_angle_beta 90.00
_cell_angle_gamma 120.00
_space_group_name_H-M_alt 'P 1'
_space_group_IT_number 1
_space_group_name_Hall 'P 1'
loop_
_atom_site_label
_atom_site_fract_x
_atom_site_fract_y
_atom_site_fract_z
Ca1 0.667 0.333 0.028
Ca2 0.333 0.667 0.528
Ca3 0.667 0.333 0.434
Ca4 0.333 0.667 0.934
Ni1 0.670 0.835 0.247
Ni2 0.835 0.165 0.747
Ni3 0.165 0.330 0.247
Ni4 0.835 0.670 0.747
Ni5 0.330 0.165 0.747
Ni6 0.165 0.835 0.247
O1 0.848 0.152 0.155
O2 0.696 0.848 0.655
O3 0.152 0.304 0.655
O4 0.848 0.696 0.155
O5 0.304 0.152 0.155
O6 0.152 0.848 0.655
O7 0.522 0.478 0.845
O8 0.044 0.522 0.345
O9 0.478 0.956 0.345
O10 0.522 0.044 0.845
O11 0.000 0.000 0.338
O12 0.000 0.000 0.838
O13 0.333 0.667 0.154
O14 0.956 0.478 0.845
O15 0.478 0.522 0.345
O16 0.667 0.333 0.654
```

## 2
First-principles (PBE+U) data for an optimized crystal structure of Ca2Ni3O8, as listed in Materials Project.

Crystal system: monoclinic

```
data_Ca2Ni3O8
_cell_length_a 6.200
_cell_length_b 6.200
_cell_length_c 4.932
_cell_angle_alpha 72.90
_cell_angle_beta 72.90
_cell_angle_gamma 56.03
_space_group_name_H-M_alt 'P 1'
_space_group_IT_number 1
_space_group_name_Hall 'P 1'
loop_
_atom_site_label
_atom_site_fract_x
_atom_site_fract_y
_atom_site_fract_z
Ca1 0.722 0.722 0.337
Ca2 0.278 0.278 0.663
Ni1 0.000 0.000 0.500
Ni2 0.747 0.253 0.000
Ni3 0.253 0.747 0.000
O1 0.399 0.399 0.962
O2 0.601 0.601 0.038
O3 0.906 0.906 0.900
O4 0.094 0.094 0.100
O5 0.320 0.879 0.612
O6 0.879 0.320 0.612
O7 0.121 0.680 0.388
O8 0.680 0.121 0.388
```

Which of them is the least stable? Correct choice: 1.

## 1
First-principles (PBE+U) data for an optimized crystal structure of CaSi2NiO6, as listed in Materials Project.

Crystal system: orthorhombic

```
data_CaSi2NiO6
_cell_length_a 5.456
_cell_length_b 9.717
_cell_length_c 18.951
_cell_angle_alpha 90.00
_cell_angle_beta 90.00
_cell_angle_gamma 90.00
_space_group_name_H-M_alt 'P 1'
_space_group_IT_number 1
_space_group_name_Hall 'P 1'
loop_
_atom_site_label
_atom_site_fract_x
_atom_site_fract_y
_atom_site_fract_z
Ca1 0.612 0.144 0.379
Ca2 0.388 0.856 0.621
Ca3 0.612 0.644 0.121
Ca4 0.112 0.856 0.121
Ca5 0.888 0.144 0.879
Ca6 0.388 0.356 0.879
Ca7 0.112 0.356 0.379
Ca8 0.888 0.644 0.621
Si1 0.563 0.664 0.775
Si2 0.757 0.833 0.475
Si3 0.743 0.833 0.975
Si4 0.937 0.164 0.225
Si5 0.063 0.336 0.725
Si6 0.437 0.836 0.275
Si7 0.257 0.667 0.475
Si8 0.757 0.333 0.025
Si9 0.743 0.333 0.525
Si10 0.937 0.664 0.275
Si11 0.437 0.336 0.225
Si12 0.563 0.164 0.725
Si13 0.243 0.167 0.525
Si14 0.063 0.836 0.775
Si15 0.243 0.667 0.975
Si16 0.257 0.167 0.025
Ni1 0.384 0.000 0.872
Ni2 0.616 0.000 0.128
Ni3 0.884 0.000 0.628
Ni4 0.116 0.000 0.372
Ni5 0.384 0.500 0.628
Ni6 0.616 0.500 0.372
Ni7 0.884 0.500 0.872
Ni8 0.116 0.500 0.128
O1 0.916 0.518 0.315
O2 0.325 0.032 0.071
O3 0.084 0.482 0.685
O4 0.756 0.351 0.939
O5 0.256 0.149 0.939
O6 0.967 0.213 0.045
O7 0.957 0.653 0.188
O8 0.043 0.847 0.688
O9 0.756 0.851 0.561
O10 0.957 0.153 0.312
O11 0.416 0.482 0.185
O12 0.744 0.351 0.439
O13 0.675 0.968 0.929
O14 0.457 0.847 0.188
O15 0.584 0.018 0.685
O16 0.325 0.532 0.429
O17 0.416 0.982 0.315
O18 0.177 0.757 0.300
O19 0.323 0.757 0.800
O20 0.533 0.713 0.955
O21 0.744 0.851 0.061
O22 0.543 0.653 0.688
O23 0.825 0.468 0.071
O24 0.177 0.257 0.200
O25 0.244 0.149 0.439
O26 0.543 0.153 0.812
O27 0.675 0.468 0.571
O28 0.256 0.649 0.561
O29 0.175 0.532 0.929
O30 0.677 0.743 0.300
O31 0.084 0.982 0.815
O32 0.823 0.743 0.800
O33 0.823 0.243 0.700
O34 0.825 0.968 0.429
O35 0.244 0.649 0.061
O36 0.175 0.032 0.571
O37 0.323 0.257 0.700
O38 0.033 0.787 0.955
O39 0.467 0.787 0.455
O40 0.677 0.243 0.200
O41 0.467 0.287 0.045
O42 0.533 0.213 0.545
O43 0.033 0.287 0.545
O44 0.457 0.347 0.312
O45 0.584 0.518 0.815
O46 0.967 0.713 0.455
O47 0.043 0.347 0.812
O48 0.916 0.018 0.185
```

## 2
First-principles (PBE+U) data for an optimized crystal structure of CaSi2NiO6, as listed in Materials Project.

```
data_CaSi2NiO6
_cell_length_a 5.295
_cell_length_b 9.819
_cell_length_c 8.993
_cell_angle_alpha 90.00
_cell_angle_beta 90.00
_cell_angle_gamma 105.10
_space_group_name_H-M_alt 'P 1'
_space_group_IT_number 1
_space_group_name_Hall 'P 1'
loop_
_atom_site_label
_atom_site_fract_x
_atom_site_fract_y
_atom_site_fract_z
Ca1 0.250 0.500 0.203
Ca2 0.750 0.000 0.703
Ca3 0.750 0.500 0.797
Ca4 0.250 0.000 0.297
Si1 0.560 0.287 0.093
Si2 0.060 0.787 0.593
Si3 0.940 0.713 0.093
Si4 0.440 0.213 0.593
Si5 0.060 0.287 0.907
Si6 0.560 0.787 0.407
Si7 0.440 0.713 0.907
Si8 0.940 0.213 0.407
Ni1 0.250 0.000 0.909
Ni2 0.750 0.000 0.091
Ni3 0.750 0.500 0.409
Ni4 0.250 0.500 0.591
O1 0.858 0.351 0.019
O2 0.358 0.851 0.519
O3 0.642 0.649 0.019
O4 0.142 0.149 0.519
O5 0.142 0.649 0.981
O6 0.642 0.149 0.481
O7 0.358 0.351 0.981
O8 0.858 0.851 0.481
O9 0.541 0.361 0.250
O10 0.041 0.861 0.750
O11 0.959 0.639 0.250
O12 0.459 0.139 0.750
O13 0.459 0.639 0.750
O14 0.959 0.139 0.250
O15 0.041 0.361 0.750
O16 0.541 0.861 0.250
O17 0.974 0.116 0.913
O18 0.474 0.616 0.413
O19 0.526 0.884 0.913
O20 0.026 0.384 0.413
O21 0.474 0.116 0.087
O22 0.974 0.616 0.587
O23 0.026 0.884 0.087
O24 0.526 0.384 0.587
```

Which of them is the least stable? Correct choice: 1.

## 1
First-principles (PBE+U) data for an optimized crystal structure of CaTl4Ni4O12, as listed in Materials Project.

Crystal system: triclinic

```
data_CaTl4Ni4O12
_cell_length_a 5.875
_cell_length_b 6.255
_cell_length_c 7.393
_cell_angle_alpha 87.88
_cell_angle_beta 95.85
_cell_angle_gamma 90.05
_space_group_name_H-M_alt 'P 1'
_space_group_IT_number 1
_space_group_name_Hall 'P 1'
loop_
_atom_site_label
_atom_site_fract_x
_atom_site_fract_y
_atom_site_fract_z
Ca1 0.965 0.294 0.617
Tl1 0.446 0.538 0.233
Tl2 0.081 0.848 0.765
Tl3 0.475 0.417 0.755
Tl4 0.102 0.059 0.225
Ni1 0.575 0.017 0.020
Ni2 0.556 0.999 0.512
Ni3 0.933 0.665 0.382
Ni4 0.940 0.499 0.028
O1 0.678 0.482 0.461
O2 0.669 0.332 0.055
O3 0.283 0.119 0.527
O4 0.860 0.944 0.488
O5 0.853 0.805 0.122
O6 0.457 0.921 0.265
O7 0.219 0.113 0.926
O8 0.659 0.087 0.751
O9 0.826 0.570 0.796
O10 0.245 0.593 0.973
O11 0.074 0.414 0.259
O12 0.203 0.606 0.583
```

## 2
First-principles (PBE+U) data for an optimized crystal structure of CaTl4Ni4O12, as listed in Materials Project.

Crystal system: triclinic

```
data_CaTl4Ni4O12
_cell_length_a 5.399
_cell_length_b 5.624
_cell_length_c 8.940
_cell_angle_alpha 82.76
_cell_angle_beta 95.77
_cell_angle_gamma 94.17
_space_group_name_H-M_alt 'P 1'
_space_group_IT_number 1
_space_group_name_Hall 'P 1'
loop_
_atom_site_label
_atom_site_fract_x
_atom_site_fract_y
_atom_site_fract_z
Ca1 0.908 0.115 0.911
Tl1 0.525 0.538 0.246
Tl2 0.022 0.844 0.674
Tl3 0.474 0.391 0.729
Tl4 0.972 0.048 0.275
Ni1 0.451 0.043 0.050
Ni2 0.510 0.986 0.489
Ni3 0.027 0.468 0.464
Ni4 0.976 0.567 0.032
O1 0.730 0.271 0.413
O2 0.731 0.274 0.095
O3 0.217 0.183 0.556
O4 0.810 0.752 0.440
O5 0.727 0.804 0.094
O6 0.362 0.962 0.270
O7 0.283 0.312 0.948
O8 0.667 0.027 0.700
O9 0.853 0.522 0.810
O10 0.199 0.838 0.952
O11 0.131 0.466 0.250
O12 0.301 0.671 0.561
```

Which of them is the least stable? Correct choice: 1.

## 1
First-principles (PBE+U) data for an optimized crystal structure of CaV4P4O20, as listed in Materials Project.

Crystal system: triclinic

```
data_CaV4P4O20
_cell_length_a 5.299
_cell_length_b 10.408
_cell_length_c 7.420
_cell_angle_alpha 70.33
_cell_angle_beta 68.26
_cell_angle_gamma 74.81
_space_group_name_H-M_alt 'P 1'
_space_group_IT_number 1
_space_group_name_Hall 'P 1'
loop_
_atom_site_label
_atom_site_fract_x
_atom_site_fract_y
_atom_site_fract_z
Ca1 0.000 0.750 0.750
V1 0.052 0.469 0.043
V2 0.000 0.750 0.250
V3 0.500 0.250 0.750
V4 0.948 0.031 0.457
P1 0.597 0.045 0.172
P2 0.403 0.455 0.328
P3 0.328 0.964 0.790
P4 0.672 0.536 0.710
O1 0.283 0.077 0.264
O2 0.253 0.399 0.235
O3 0.040 0.846 0.399
O4 0.247 0.862 0.001
O5 0.309 0.613 0.304
O6 0.277 0.116 0.797
O7 0.333 0.378 0.554
O8 0.223 0.325 0.939
O9 0.747 0.101 0.265
O10 0.160 0.951 0.667
O11 0.717 0.423 0.236
O12 0.360 0.577 0.813
O13 0.777 0.175 0.561
O14 0.667 0.122 0.946
O15 0.840 0.549 0.833
O16 0.691 0.887 0.196
O17 0.753 0.638 0.499
O18 0.960 0.654 0.101
O19 0.640 0.923 0.687
O20 0.723 0.384 0.703
```

## 2
First-principles (PBE+U) data for an optimized crystal structure of CaV4P4O20, as listed in Materials Project.

Crystal system: triclinic

```
data_CaV4P4O20
_cell_length_a 5.402
_cell_length_b 10.351
_cell_length_c 7.353
_cell_angle_alpha 69.91
_cell_angle_beta 68.44
_cell_angle_gamma 75.06
_space_group_name_H-M_alt 'P 1'
_space_group_IT_number 1
_space_group_name_Hall 'P 1'
loop_
_atom_site_label
_atom_site_fract_x
_atom_site_fract_y
_atom_site_fract_z
Ca1 0.500 0.750 0.250
V1 0.032 0.491 0.000
V2 0.000 0.750 0.250
V3 0.500 0.250 0.750
V4 0.968 0.009 0.500
P1 0.609 0.066 0.188
P2 0.391 0.434 0.312
P3 0.360 0.945 0.794
P4 0.640 0.555 0.706
O1 0.304 0.067 0.303
O2 0.235 0.398 0.204
O3 0.065 0.845 0.390
O4 0.306 0.831 0.000
O5 0.261 0.580 0.346
O6 0.303 0.091 0.826
O7 0.372 0.327 0.523
O8 0.176 0.351 0.908
O9 0.765 0.102 0.296
O10 0.178 0.928 0.684
O11 0.696 0.433 0.197
O12 0.336 0.589 0.825
O13 0.824 0.149 0.592
O14 0.628 0.173 0.977
O15 0.822 0.572 0.816
O16 0.739 0.920 0.154
O17 0.694 0.669 0.500
O18 0.935 0.655 0.110
O19 0.664 0.911 0.675
O20 0.697 0.409 0.674
```

Which of them is the least stable? Correct choice: 2.

## 1
First-principles (PBE+U) data for an optimized crystal structure of Ca2VSbO6, as listed in Materials Project.

Crystal system: cubic

```
data_Ca2VSbO6
_cell_length_a 5.706
_cell_length_b 5.706
_cell_length_c 5.706
_cell_angle_alpha 60.00
_cell_angle_beta 60.00
_cell_angle_gamma 60.00
_space_group_name_H-M_alt 'P 1'
_space_group_IT_number 1
_space_group_name_Hall 'P 1'
loop_
_atom_site_label
_atom_site_fract_x
_atom_site_fract_y
_atom_site_fract_z
Ca1 0.250 0.250 0.250
Ca2 0.750 0.750 0.750
V1 0.500 0.500 0.500
Sb1 0.000 0.000 0.000
O1 0.738 0.262 0.262
O2 0.262 0.738 0.738
O3 0.738 0.262 0.738
O4 0.262 0.738 0.262
O5 0.738 0.738 0.262
O6 0.262 0.262 0.738
```

## 2
First-principles (PBE+U) data for an optimized crystal structure of Ca2VSbO6, as listed in Materials Project.

Crystal system: monoclinic

```
data_Ca2VSbO6
_cell_length_a 7.753
_cell_length_b 5.513
_cell_length_c 5.681
_cell_angle_alpha 89.95
_cell_angle_beta 90.00
_cell_angle_gamma 90.00
_space_group_name_H-M_alt 'P 1'
_space_group_IT_number 1
_space_group_name_Hall 'P 1'
loop_
_atom_site_label
_atom_site_fract_x
_atom_site_fract_y
_atom_site_fract_z
Ca1 0.750 0.481 0.564
Ca2 0.250 0.519 0.436
Ca3 0.750 0.004 0.043
Ca4 0.250 0.996 0.957
V1 0.500 0.500 0.000
V2 0.000 0.500 0.000
Sb1 0.500 0.000 0.500
Sb2 0.000 0.000 0.500
O1 0.453 0.707 0.692
O2 0.049 0.811 0.208
O3 0.953 0.293 0.308
O4 0.549 0.189 0.792
O5 0.451 0.811 0.208
O6 0.951 0.189 0.792
O7 0.250 0.104 0.534
O8 0.047 0.707 0.692
O9 0.750 0.571 0.980
O10 0.547 0.293 0.308
O11 0.750 0.896 0.466
O12 0.250 0.429 0.020
```

Which of them is the least stable? Correct choice: 1.